VASP calculation (meta-GGA r2SCAN) on a relaxed BaSn5 crystal.

a = 5.3873 Å, b = 5.3873 Å, c = 7.3131 Å
α = 90.00°, β = 90.00°, γ = 120.00°
Space group P6/mmm (No. 191)
Asymmetric unit:
Ba 0.0000 0.0000 0.0000 [1 per cell]
Sn 0.0000 0.0000 0.5000 [1 per cell]
Sn 0.3333 0.6667 0.2960 [4 per cell]

**Energy of formation**: -260 meV/atom